1.
{"formula": "Nb6PbS8", "functional": "PBE", "state": "relaxed", "energy_corrected_mp2020_ev_per_cell": -116.4, "magmom_total_mub_per_fu": 0.0, "lattice_angstrom": [[9.680, 0.000, 0.000], [-4.840, 8.384, 0.000], [0.000, 0.000, 3.421]], "species": ["Nb", "Nb", "Nb", "Nb", "Nb", "Nb", "Pb", "S", "S", "S", "S", "S", "S", "S", "S"], "fractional_positions": [[0.112, 0.625, 0.249], [0.375, 0.487, 0.249], [0.487, 0.112, 0.751], [0.513, 0.888, 0.249], [0.625, 0.513, 0.751], [0.888, 0.375, 0.751], [0.000, 0.000, 0.000], [0.055, 0.341, 0.252], [0.287, 0.945, 0.252], [0.333, 0.667, 0.749], [0.341, 0.287, 0.748], [0.659, 0.713, 0.252], [0.667, 0.333, 0.251], [0.713, 0.055, 0.748], [0.945, 0.659, 0.748]]}



2.
{"formula": "NbPbS2", "functional": "PBE", "state": "relaxed", "energy_corrected_mp2020_ev_per_cell": -53.2, "lattice_angstrom": [[3.393, 0.000, 0.000], [-1.697, 2.939, 0.000], [0.000, 0.000, 17.956]], "species": ["Nb", "Nb", "Pb", "Pb", "S", "S", "S", "S"], "fractional_positions": [[0.333, 0.667, 0.250], [0.667, 0.333, 0.750], [0.000, 0.000, 0.000], [0.000, 0.000, 0.500], [0.000, 0.000, 0.164], [0.000, 0.000, 0.336], [0.000, 0.000, 0.664], [0.000, 0.000, 0.836]]}



3.
{"formula": "Nb3PbS6", "functional": "PBE", "state": "relaxed", "energy_corrected_mp2020_ev_per_cell": -144.8, "lattice_angstrom": [[5.860, 0.000, 0.000], [-2.930, 5.075, 0.000], [0.000, 0.000, 14.988]], "species": ["Nb", "Nb", "Nb", "Nb", "Nb", "Nb", "Pb", "Pb", "S", "S", "S", "S", "S", "S", "S", "S", "S", "S", "S", "S"], "fractional_positions": [[0.000, 0.000, 0.250], [0.000, 0.000, 0.750], [0.333, 0.667, 0.250], [0.333, 0.667, 0.750], [0.667, 0.333, 0.250], [0.667, 0.333, 0.750], [0.000, 0.000, 0.000], [0.000, 0.000, 0.500], [0.000, 0.336, 0.146], [0.000, 0.336, 0.354], [0.000, 0.664, 0.646], [0.000, 0.664, 0.854], [0.336, 0.000, 0.146], [0.336, 0.000, 0.354], [0.336, 0.336, 0.646], [0.336, 0.336, 0.854], [0.664, 0.000, 0.646], [0.664, 0.000, 0.854], [0.664, 0.664, 0.146], [0.664, 0.664, 0.354]]}



4.
{"formula": "Nb5PbSe8", "functional": "PBE", "state": "relaxed", "energy_corrected_mp2020_ev_per_cell": -96.4, "magmom_total_mub_per_fu": 0.1, "lattice_angstrom": [[9.257, -1.753, 0.000], [9.257, 1.753, 0.000], [-2.160, 0.000, 9.186]], "species": ["Nb", "Nb", "Nb", "Nb", "Nb", "Pb", "Se", "Se", "Se", "Se", "Se", "Se", "Se", "Se"], "fractional_positions": [[0.000, 0.000, 0.000], [0.289, 0.289, 0.632], [0.359, 0.359, 0.003], [0.641, 0.641, 0.997], [0.711, 0.711, 0.368], [0.500, 0.500, 0.500], [0.085, 0.085, 0.807], [0.150, 0.150, 0.509], [0.239, 0.239, 0.161], [0.430, 0.430, 0.801], [0.570, 0.570, 0.199], [0.761, 0.761, 0.839], [0.850, 0.850, 0.491], [0.915, 0.915, 0.193]]}



5.
{"formula": "Nb12PbSe16", "functional": "PBE", "state": "relaxed", "energy_corrected_mp2020_ev_per_cell": -211.6, "magmom_total_mub_per_fu": 0.0, "lattice_angstrom": [[7.082, 0.000, 0.000], [-0.001, 10.058, 0.000], [-3.535, -5.026, 8.712]], "species": ["Nb", "Nb", "Nb", "Nb", "Nb", "Nb", "Nb", "Nb", "Nb", "Nb", "Nb", "Nb", "Pb", "Se", "Se", "Se", "Se", "Se", "Se", "Se", "Se", "Se", "Se", "Se", "Se", "Se", "Se", "Se", "Se"], "fractional_positions": [[0.064, 0.394, 0.381], [0.071, 0.013, 0.893], [0.133, 0.123, 0.513], [0.369, 0.880, 0.487], [0.429, 0.987, 0.107], [0.433, 0.607, 0.621], [0.567, 0.393, 0.379], [0.571, 0.013, 0.893], [0.631, 0.120, 0.513], [0.867, 0.877, 0.487], [0.929, 0.987, 0.107], [0.936, 0.606, 0.619], [0.000, 0.500, 0.000], [0.013, 0.836, 0.278], [0.098, 0.778, 0.942], [0.206, 0.441, 0.662], [0.209, 0.834, 0.666], [0.292, 0.167, 0.334], [0.295, 0.557, 0.336], [0.405, 0.221, 0.059], [0.485, 0.162, 0.720], [0.515, 0.838, 0.280], [0.595, 0.779, 0.941], [0.705, 0.443, 0.664], [0.708, 0.833, 0.666], [0.791, 0.166, 0.334], [0.794, 0.559, 0.338], [0.902, 0.222, 0.058], [0.987, 0.164, 0.722]]}



6.
{"formula": "NbPd", "functional": "PBE", "state": "relaxed", "magmom_total_mub_per_fu": 0.0, "lattice_angstrom": [[1.437, 0.830, 4.696], [-1.437, 0.830, 4.696], [0.000, -1.659, 4.696]], "species": ["Nb", "Pd"], "fractional_positions": [[0.000, 0.000, 0.000], [0.500, 0.500, 0.500]]}



| no. | energy of formation (eV per atom) |
| --- | --- |
| 1 | -1.264 |
| 2 | -1.130 |
| 3 | -1.355 |
| 4 | -1.016 |
| 5 | -1.058 |
| 6 | -0.126 |